[1]
Density functional theory data (GGA+U) for crystalline Li9Mn2Co5O16 at its relaxed geometry.

Values from the calculation:
- crystal system = monoclinic
- formation enthalpy at 0 K (eV/atom) = -1.78
- total energy (eV/cell) = -184.57
- magnetization (Bohr magnetons per cell) = 16.000
- calculated density (g/cm3) = 4.08

Geometry as extended XYZ:
```
32
Lattice="-2.455 -3.463 -2.848 0.369 -3.972 -3.196 -0.929 -15.082 14.525" Properties=species:S:1:pos:R:3 pbc="T T T"
O -1.212 -9.794 4.497
O -2.416 -15.646 3.289
O -1.287 -5.034 -3.080
O -1.467 -13.722 8.167
O -1.548 -8.763 0.258
O -1.703 -17.503 11.783
O -2.163 -11.715 -0.413
O -0.372 -3.106 1.529
O -0.603 -6.912 5.219
O -1.020 -6.136 0.700
O -2.642 -19.344 6.863
O -1.932 -8.076 -3.862
O -1.800 -12.748 4.044
O -0.839 -10.716 8.871
O -2.009 -16.343 7.608
O -1.093 -14.536 12.394
Li -2.550 -14.980 1.228
Li -2.442 -19.587 8.844
Li -2.216 -15.937 5.333
Li -0.802 -6.676 3.259
Li -1.948 -12.191 2.028
Li -1.751 -8.533 -1.721
Li -1.060 -10.318 6.497
Li -0.573 -2.793 -0.561
Li -1.277 -14.040 10.180
Co -2.772 -18.653 4.795
Co -1.368 -9.474 2.757
Co -1.644 -13.080 5.799
Co -0.245 -3.911 3.737
Co -1.870 -16.884 9.524
Mn -3.010 -22.475 8.459
Mn -1.152 -5.616 -1.132
```


[2]
Density functional theory data (GGA+U) for crystalline Li3Co3SbO8 at its relaxed geometry.

Values from the calculation:
- crystal system = triclinic
- formation enthalpy at 0 K (eV/atom) = -0.89
- total energy (eV/cell) = -73.65
- magnetization (Bohr magnetons per cell) = 10.192
- calculated density (g/cm3) = 4.76

Geometry as extended XYZ:
```
15
Lattice="-2.756 0.447 -5.312 -2.634 -3.110 4.445 0.380 6.020 0.387" Properties=species:S:1:pos:R:3 pbc="T T T"
O -4.311 -1.080 0.643
O -2.332 -0.404 0.831
O -1.986 4.662 -3.509
O -0.698 4.436 -1.123
O -3.024 -1.306 3.029
O -2.677 3.760 -1.311
O -1.714 3.159 1.058
O -3.296 0.198 -1.537
Li -1.317 -1.555 2.223
Li -2.695 -1.332 -0.433
Li 0.190 3.010 0.193
Sb 0.000 0.000 0.000
Co -1.378 0.223 -2.656
Co -1.127 1.455 2.416
Co -2.505 1.678 -0.240
```


[3]
Density functional theory data (GGA+U) for crystalline Li9Mn2Co5O16 at its relaxed geometry.

Values from the calculation:
- crystal system = triclinic
- formation enthalpy at 0 K (eV/atom) = -1.83
- total energy (eV/cell) = -186.16
- magnetization (Bohr magnetons per cell) = 8.000
- calculated density (g/cm3) = 4.15

Geometry as extended XYZ:
```
32
Lattice="2.911 0.000 0.000 -1.436 6.462 0.000 -0.586 -0.645 15.383" Properties=species:S:1:pos:R:3 pbc="T T T"
O -0.730 6.066 2.470
O 0.383 5.678 10.190
O 0.680 3.412 1.509
O -1.093 3.204 9.056
O 0.469 0.925 8.245
O 0.267 1.500 10.954
O 1.983 2.613 6.327
O 2.124 1.806 3.217
O 0.506 0.139 5.193
O 2.144 1.211 0.655
O 0.420 4.892 7.138
O 0.209 2.405 13.874
O -1.254 4.606 14.728
O 1.619 -0.248 12.913
O 0.623 4.317 4.429
O -1.235 4.011 12.166
Co 0.445 2.909 7.692
Co 1.818 1.211 9.613
Co -0.928 4.606 5.770
Co 0.259 -0.471 11.550
Co 0.630 6.289 3.833
Li 0.347 3.581 10.552
Li 1.682 1.921 12.579
Li -0.792 3.896 2.804
Li 0.200 0.309 14.405
Li 1.930 0.528 6.725
Li 0.542 2.236 4.832
Li -0.718 3.231 0.000
Li 0.690 5.508 0.978
Li -1.041 5.289 8.658
Mn 0.680 1.618 1.871
Mn 0.210 4.199 13.512
```


[4]
Density functional theory data (GGA+U) for crystalline Li4AlNi3O8 at its relaxed geometry.

Values from the calculation:
- crystal system = trigonal
- formation enthalpy at 0 K (eV/atom) = -1.88
- total energy (eV/cell) = -85.22
- magnetization (Bohr magnetons per cell) = 3.006
- calculated density (g/cm3) = 4.32

Geometry as extended XYZ:
```
16
Lattice="-8.402 -17.174 2.518 -5.896 -18.287 1.640 -6.305 -17.679 4.425" Properties=species:S:1:pos:R:3 pbc="T T T"
O -11.627 -29.989 4.843
O -3.824 -9.863 1.593
O -16.779 -43.278 6.990
O -8.976 -23.152 3.739
O -6.507 -16.784 2.711
O -19.275 -49.715 8.029
O -1.328 -3.426 0.553
O -14.096 -36.357 5.872
Ni -5.152 -13.289 2.146
Ni -10.302 -26.570 4.291
Ni -15.451 -39.851 6.436
Li -12.883 -33.228 5.367
Li -2.574 -6.640 1.072
Li -7.720 -19.913 3.216
Li -18.029 -46.501 7.510
Al 0.000 0.000 0.000
```


[5]
Density functional theory data (GGA+U) for crystalline MgVSi2O6 at its relaxed geometry.

Values from the calculation:
- formation enthalpy at 0 K (eV/atom) = -3.01
- total energy (eV/cell) = -301.92
- magnetization (Bohr magnetons per cell) = 0.000
- calculated density (g/cm3) = 3.23

Geometry as extended XYZ:
```
40
Lattice="1.518 0.054 6.615 -1.808 10.214 3.215 -6.488 0.044 2.010" Properties=species:S:1:pos:R:3 pbc="T T T"
O -3.018 9.375 3.590
O -0.195 1.729 2.017
O -3.177 0.337 5.721
O -2.072 2.312 3.815
O -2.386 7.053 8.644
O -2.114 4.266 1.983
O -4.081 5.445 7.329
O -6.584 8.583 9.822
O -4.665 6.046 9.857
O -6.703 9.612 7.253
O -5.679 3.476 8.215
O -4.393 3.260 3.196
O -0.076 0.700 4.585
O -2.977 7.419 5.422
O -1.099 6.837 3.625
O -1.482 1.946 7.036
O -5.799 4.506 5.647
O -3.602 9.976 6.118
O -2.698 4.869 4.511
O -4.706 8.001 8.024
O -3.802 2.894 6.417
O -0.980 5.808 6.194
O -5.297 8.368 4.803
O -3.761 0.939 8.249
Mg -5.671 6.438 5.152
Mg -1.107 3.876 6.688
Mg -4.767 1.330 3.544
Mg -2.012 8.983 8.295
Si -3.932 6.607 8.497
Si -0.994 1.153 3.335
Si -1.897 6.261 4.943
Si -4.881 4.053 6.897
Si -5.786 9.159 8.504
Si -3.751 8.813 4.950
Si -3.028 1.500 6.888
Si -2.847 3.705 3.344
V -6.405 3.889 3.668
V -7.311 8.997 5.273
V 0.531 1.316 6.564
V -0.372 6.424 8.173
```


[6]
Density functional theory data (GGA+U) for crystalline LiVMoO6 at its relaxed geometry.

Values from the calculation:
- crystal system = monoclinic
- formation enthalpy at 0 K (eV/atom) = -2.18
- total energy (eV/cell) = -62.11
- magnetization (Bohr magnetons per cell) = 0.000
- calculated density (g/cm3) = 3.76

Geometry as extended XYZ:
```
9
Lattice="0.000 -3.718 0.000 -4.387 -1.859 1.774 0.035 0.000 -6.782" Properties=species:S:1:pos:R:3 pbc="T T T"
O -1.703 -1.859 -3.177
O -4.167 -1.859 -0.229
O -1.420 -1.859 -0.213
O -2.707 -3.718 -1.888
O -0.184 -3.718 -4.678
O -2.894 -3.718 -4.852
Mo -2.769 -1.859 -1.310
V -1.638 -3.718 -3.775
Li -4.278 -1.859 -4.917
```


[7]
Density functional theory data (GGA+U) for crystalline AlAgW2O8 at its relaxed geometry.

Values from the calculation:
- crystal system = monoclinic
- formation enthalpy at 0 K (eV/atom) = -2.11
- total energy (eV/cell) = -166.11
- magnetization (Bohr magnetons per cell) = 0.001
- calculated density (g/cm3) = 7.44

Geometry as extended XYZ:
```
24
Lattice="-2.740 -1.313 5.019 -3.245 -3.060 -2.572 2.804 -10.003 -1.086" Properties=species:S:1:pos:R:3 pbc="T T T"
O -1.703 -11.609 0.612
O -3.389 -9.730 1.675
O -1.733 -8.944 -0.497
O -3.647 -4.188 0.983
O -2.681 -3.717 -1.648
O 0.079 -11.049 -2.156
O 0.208 -4.646 -0.314
O -1.477 -2.767 0.749
O -0.500 -10.659 3.009
O -0.994 -8.209 1.889
O 0.466 -10.188 0.379
O -1.448 -5.431 1.858
O 0.330 -7.280 -1.033
O -3.259 -3.327 3.517
O -2.187 -6.167 -0.528
O -3.511 -7.096 2.394
Ag 1.153 -7.957 0.926
Ag -1.089 -3.359 3.008
W -1.462 -7.497 -1.611
W -1.719 -6.879 2.972
W 1.506 -11.007 -0.909
W -4.686 -3.369 2.270
Al -1.332 -9.901 1.220
Al -1.848 -4.475 0.141
```


[8]
Density functional theory data (GGA+U) for crystalline Na5Cr2AsC4O16 at its relaxed geometry.

Values from the calculation:
- crystal system = orthorhombic
- formation enthalpy at 0 K (eV/atom) = -1.98
- total energy (eV/cell) = -374.32
- magnetization (Bohr magnetons per cell) = 11.995
- calculated density (g/cm3) = 2.88

Geometry as extended XYZ:
```
56
Lattice="2.268 -8.598 -4.440 -3.709 -2.156 -8.953 5.945 -0.046 -7.890" Properties=species:S:1:pos:R:3 pbc="T T T"
O 1.752 -7.425 -12.855
O 3.816 -8.679 -17.369
O 2.173 -2.535 -15.389
O 6.021 -3.542 -9.419
O 3.738 -2.183 -10.583
O -0.804 -1.900 -5.181
O 3.642 -4.335 -13.746
O 6.283 -8.071 -11.751
O 1.016 -5.068 -11.574
O 0.615 -2.481 -11.886
O 0.350 -0.904 -2.735
O 2.694 -6.881 -10.299
O -2.145 -3.257 -9.803
O 1.201 -5.972 -7.283
O -0.030 -7.406 -10.499
O 4.801 -6.997 -8.717
O 2.624 -7.839 -5.674
O 4.153 -3.706 -8.176
O 3.955 -1.520 -6.377
O -0.673 -5.059 -8.129
O 4.810 -4.545 -11.836
O 2.691 -4.029 -5.731
O 5.942 -8.572 -14.582
O 1.284 -3.950 -8.261
O 2.146 -8.670 -15.146
O 2.515 -1.411 -8.859
O 1.489 -3.265 -3.988
O 1.056 -1.709 -6.435
O 1.485 -5.452 -4.473
O 2.403 -5.322 -16.156
O 4.871 -6.184 -13.381
O -0.873 -2.326 -7.390
Na 3.812 -8.089 -11.900
Na 6.275 -5.986 -10.262
Na 2.836 -4.553 -10.206
Na 3.962 -7.253 -15.526
Na 2.670 -2.083 -12.989
Na 1.248 -5.337 -13.839
Na 0.119 -2.073 -9.612
Na -1.100 -5.308 -10.717
Na 1.453 -8.076 -8.786
Na 3.736 -5.960 -6.876
Cr 0.793 -7.001 -5.559
Cr 2.596 -2.706 -7.274
Cr -0.341 -2.689 -3.365
Cr 3.714 -3.794 -15.721
C 3.328 -1.193 -9.850
C 5.422 -3.451 -8.269
C 1.870 -4.250 -4.739
C 4.621 -0.470 -6.723
C 0.739 -0.423 -1.603
C 0.597 -4.984 -7.872
C 4.459 -5.014 -12.998
C -0.203 -1.998 -6.337
As 1.314 -6.759 -11.339
As 2.440 -9.459 -16.660
```


[9]
Density functional theory data (GGA+U) for crystalline Li2V3NiO8 at its relaxed geometry.

Values from the calculation:
- crystal system = trigonal
- formation enthalpy at 0 K (eV/atom) = -2.29
- total energy (eV/cell) = -190.70
- magnetization (Bohr magnetons per cell) = 10.005
- calculated density (g/cm3) = 4.04

Geometry as extended XYZ:
```
28
Lattice="5.869 0.000 0.000 -2.934 5.083 0.000 0.000 0.000 9.732" Properties=species:S:1:pos:R:3 pbc="T T T"
V -1.510 4.104 2.078
V 3.070 3.360 6.945
V 1.375 4.338 2.078
V 1.424 0.979 6.945
V 4.309 0.744 6.944
V 0.135 1.723 2.078
O 3.004 0.180 8.093
O 2.847 3.456 1.051
O 0.000 3.388 0.974
O 1.453 0.738 1.051
O 0.070 4.903 3.227
O 4.503 0.889 1.051
O 1.569 4.194 5.918
O 2.934 5.083 7.898
O -1.482 4.345 5.917
O 1.277 2.571 3.227
O 4.211 2.512 8.093
O 5.869 0.000 3.031
O -1.347 2.692 3.227
O -0.087 1.627 5.918
O 1.588 2.391 8.093
O 2.934 1.694 5.841
Li 0.000 0.000 4.828
Li 5.869 0.000 9.694
Li 0.000 3.389 8.712
Li 2.934 1.694 3.846
Ni 2.935 1.694 9.652
Ni 0.000 3.389 4.786
```


[10]
Density functional theory data (GGA+U) for crystalline SrLiVF6 at its relaxed geometry.

Values from the calculation:
- crystal system = trigonal
- formation enthalpy at 0 K (eV/atom) = -3.57
- total energy (eV/cell) = -103.70
- magnetization (Bohr magnetons per cell) = 4.002
- calculated density (g/cm3) = 3.34

Geometry as extended XYZ:
```
18
Lattice="2.665 -4.616 0.000 2.665 4.616 0.000 0.000 0.000 10.499" Properties=species:S:1:pos:R:3 pbc="T T T"
F 3.398 0.067 3.731
F 4.306 1.640 1.519
F 1.932 -0.067 6.768
F 4.306 -1.640 6.768
F 3.573 2.909 3.731
F 1.757 2.909 1.519
F 1.024 -1.640 8.981
F 1.757 -2.909 6.768
F 1.024 1.640 3.731
F 3.398 -0.067 8.981
F 1.932 0.067 1.519
F 3.573 -2.909 8.981
Sr 0.000 0.000 0.000
Sr 0.000 0.000 5.250
V 2.665 -1.539 7.874
V 2.665 1.539 2.625
Li 2.665 -1.539 2.625
Li 2.665 1.539 7.874
```


[11]
Density functional theory data (GGA+U) for crystalline CaY5Mo2O12 at its relaxed geometry.

Values from the calculation:
- crystal system = monoclinic
- formation enthalpy at 0 K (eV/atom) = -3.23
- total energy (eV/cell) = -165.30
- magnetization (Bohr magnetons per cell) = 2.995
- calculated density (g/cm3) = 5.29

Geometry as extended XYZ:
```
20
Lattice="5.988 0.000 0.000 -2.994 6.027 -1.874 0.000 0.042 7.535" Properties=species:S:1:pos:R:3 pbc="T T T"
O 4.539 1.795 3.704
O 1.545 4.274 1.957
O 4.591 2.072 0.085
O 2.994 0.171 5.941
O 1.449 1.795 3.704
O 2.994 5.984 -0.436
O -1.597 3.997 5.576
O 1.397 2.072 0.085
O 0.000 0.085 6.097
O -1.545 4.274 1.957
O 0.000 5.898 -0.281
O 1.597 3.997 5.576
Y 2.994 3.536 3.792
Y 2.994 3.622 -0.089
Y 0.000 2.447 5.750
Y 2.994 0.021 3.767
Y 0.000 2.533 1.868
Ca 0.000 0.021 3.767
Mo 1.707 0.000 0.000
Mo 4.281 0.000 0.000
```


[12]
Density functional theory data (GGA+U) for crystalline Li2V3P4O14 at its relaxed geometry.

Values from the calculation:
- crystal system = triclinic
- formation enthalpy at 0 K (eV/atom) = -2.61
- total energy (eV/cell) = -334.51
- magnetization (Bohr magnetons per cell) = 18.000
- calculated density (g/cm3) = 3.21

Geometry as extended XYZ:
```
46
Lattice="-3.574 0.883 -3.866 2.949 -1.252 -5.799 -4.634 -15.252 -1.716" Properties=species:S:1:pos:R:3 pbc="T T T"
O -0.297 -5.833 -5.153
O -4.014 -10.685 -3.303
O -4.274 -12.289 -10.717
O -3.309 -11.640 -5.890
O -1.613 -1.338 -5.185
O -0.986 -3.331 -0.665
O -2.557 -13.786 -8.491
O -4.168 -7.991 -4.061
O -4.944 -14.350 -8.392
O -5.028 -5.576 -4.306
O -1.246 -4.935 -8.079
O -0.316 -1.270 -2.990
O -2.655 -9.402 -6.964
O 1.478 -0.902 -6.095
O -4.963 -9.787 -6.228
O -4.188 -6.807 -6.359
O -2.132 -2.477 -8.176
O -1.951 -3.981 -5.492
O -0.232 -10.044 -7.076
O -1.221 -4.624 -3.120
O -4.040 -10.996 -8.261
O -3.128 -13.143 -3.206
O -1.092 -7.630 -7.320
O -6.738 -14.718 -5.287
O -2.606 -6.219 -4.418
O -1.072 -8.813 -5.022
O -3.648 -14.283 -6.196
O -2.703 -1.835 -2.890
Li 0.166 -2.365 -5.566
Li -4.227 -15.348 -3.235
Li -1.033 -0.272 -8.147
Li -5.426 -13.255 -5.815
V -5.682 -9.559 -4.214
V -3.190 -2.440 -6.239
V -2.411 -9.038 -3.273
V -2.849 -6.582 -8.109
V 0.422 -6.062 -7.168
V -2.070 -13.180 -5.142
P -1.498 -5.071 -4.569
P -3.977 -12.019 -2.555
P -3.629 -14.692 -7.677
P -1.631 -0.928 -3.704
P -1.177 -8.956 -6.547
P -1.283 -3.601 -8.826
P -3.762 -10.550 -6.812
P -4.083 -6.664 -4.835
```


> The highest total energy belongs to which entry?

LiVMoO6


> The highest total energy belongs to which entry?

LiVMoO6


> Which value of total energy does entry 5 give?

-301.92 eV/cell


> What is the total energy in the eighth record?

-374.32 eV/cell